[1]
{"formula": "Sr8Fe8O23", "functional": "PBE with a Hubbard U", "state": "optimized geometry", "lattice_angstrom": [[7.865, -0.046, -3.872], [-2.186, 4.110, 7.428], [-0.852, -8.407, 2.334]], "species": ["Sr", "Sr", "Sr", "Sr", "Sr", "Sr", "Sr", "Sr", "Fe", "Fe", "Fe", "Fe", "Fe", "Fe", "Fe", "Fe", "O", "O", "O", "O", "O", "O", "O", "O", "O", "O", "O", "O", "O", "O", "O", "O", "O", "O", "O", "O", "O", "O", "O"], "frac_coords": [[0.752, 0.500, 0.252], [0.500, 0.248, 0.748], [0.500, 0.752, 0.252], [0.248, 0.500, 0.748], [0.259, 0.000, 0.259], [0.000, 0.741, 0.741], [0.000, 0.259, 0.259], [0.741, 0.000, 0.741], [0.750, 0.250, 0.500], [0.250, 0.750, 0.500], [0.000, 0.500, 0.000], [0.500, 0.500, 0.500], [0.000, 0.000, 0.500], [0.500, 0.000, 0.000], [0.255, 0.255, 0.000], [0.745, 0.745, 0.000], [0.000, 0.500, 0.500], [0.500, 0.000, 0.500], [0.125, 0.875, 0.500], [0.875, 0.375, 0.751], [0.625, 0.125, 0.249], [0.375, 0.625, 0.500], [0.875, 0.125, 0.500], [0.125, 0.625, 0.249], [0.375, 0.875, 0.751], [0.625, 0.375, 0.500], [0.736, 0.264, 0.000], [0.264, 0.264, 0.527], [0.736, 0.736, 0.473], [0.264, 0.736, 0.000], [0.098, 0.098, 0.759], [0.339, 0.339, 0.241], [0.500, 0.500, 0.000], [0.661, 0.902, 0.000], [0.902, 0.902, 0.241], [0.661, 0.661, 0.759], [0.902, 0.661, 0.000], [0.339, 0.098, 0.000], [0.098, 0.339, 0.000]], "final_energy_ev_per_atom": -6.397}

[2]
{"formula": "Li9V5Si10O32", "functional": "PBE with a Hubbard U", "state": "optimized geometry", "lattice_angstrom": [[-1.212, 1.644, -7.797], [4.968, -5.965, -2.168], [-6.168, -5.256, -0.333]], "species": ["Li", "Li", "Li", "Li", "Li", "Li", "Li", "Li", "Li", "V", "V", "V", "V", "V", "Si", "Si", "Si", "Si", "Si", "Si", "Si", "Si", "Si", "Si", "O", "O", "O", "O", "O", "O", "O", "O", "O", "O", "O", "O", "O", "O", "O", "O", "O", "O", "O", "O", "O", "O", "O", "O", "O", "O", "O", "O", "O", "O", "O", "O"], "frac_coords": [[0.493, 0.746, 0.634], [0.254, 0.507, 0.366], [0.754, 0.004, 0.377], [0.498, 0.255, 0.117], [0.007, 0.742, 0.122], [0.375, 0.625, 0.000], [0.258, 0.993, 0.878], [0.745, 0.502, 0.883], [0.996, 0.246, 0.623], [0.866, 0.628, 0.510], [0.128, 0.872, 0.500], [0.372, 0.134, 0.490], [0.870, 0.376, 0.248], [0.624, 0.130, 0.752], [0.612, 0.388, 0.500], [0.615, 0.631, 0.249], [0.380, 0.877, 0.237], [0.133, 0.119, 0.233], [0.630, 0.868, 0.009], [0.884, 0.116, 0.000], [0.132, 0.370, 0.991], [0.881, 0.867, 0.767], [0.123, 0.620, 0.763], [0.369, 0.385, 0.751], [0.879, 0.874, 0.546], [0.388, 0.381, 0.521], [0.619, 0.165, 0.506], [0.374, 0.890, 0.464], [0.110, 0.626, 0.536], [0.835, 0.381, 0.494], [0.619, 0.612, 0.479], [0.126, 0.121, 0.454], [0.842, 0.620, 0.259], [0.356, 0.106, 0.238], [0.155, 0.893, 0.240], [0.906, 0.119, 0.222], [0.613, 0.406, 0.273], [0.397, 0.661, 0.249], [0.615, 0.865, 0.237], [0.129, 0.346, 0.212], [0.634, 0.651, 0.033], [0.112, 0.132, 0.007], [0.896, 0.339, 0.997], [0.114, 0.585, 0.980], [0.415, 0.886, 0.020], [0.661, 0.104, 0.003], [0.868, 0.888, 0.993], [0.349, 0.366, 0.967], [0.654, 0.871, 0.788], [0.135, 0.385, 0.763], [0.339, 0.603, 0.751], [0.594, 0.387, 0.727], [0.881, 0.094, 0.778], [0.107, 0.845, 0.760], [0.894, 0.644, 0.762], [0.380, 0.158, 0.741]], "m_tot_mub_per_fu": 10.0, "final_energy_ev_per_atom": -7.197}

[3]
{"formula": "K2MgFe4P6O16F12", "functional": "PBE with a Hubbard U", "state": "optimized geometry", "lattice_angstrom": [[-6.355, -4.200, 0.864], [1.842, -1.275, 7.429], [-2.519, 10.607, 0.160]], "species": ["K", "K", "Mg", "Fe", "Fe", "Fe", "Fe", "P", "P", "P", "P", "P", "P", "O", "O", "O", "O", "O", "O", "O", "O", "O", "O", "O", "O", "O", "O", "O", "O", "F", "F", "F", "F", "F", "F", "F", "F", "F", "F", "F", "F"], "frac_coords": [[0.827, 0.078, 0.813], [0.233, 0.929, 0.179], [0.383, 0.922, 0.559], [0.654, 0.314, 0.324], [0.330, 0.652, 0.679], [0.499, 0.509, 0.008], [0.983, 0.006, 0.494], [0.664, 0.730, 0.509], [0.357, 0.256, 0.484], [0.306, 0.109, 0.811], [0.694, 0.913, 0.178], [0.066, 0.590, 0.854], [0.926, 0.413, 0.162], [0.702, 0.558, 0.436], [0.297, 0.414, 0.557], [0.815, 0.877, 0.563], [0.229, 0.086, 0.448], [0.587, 0.075, 0.208], [0.413, 0.964, 0.755], [0.438, 0.269, 0.893], [0.554, 0.752, 0.120], [0.872, 0.894, 0.287], [0.124, 0.140, 0.709], [0.884, 0.350, 0.271], [0.099, 0.639, 0.739], [0.778, 0.472, 0.052], [0.219, 0.546, 0.970], [0.424, 0.273, 0.371], [0.562, 0.729, 0.608], [0.823, 0.223, 0.468], [0.165, 0.776, 0.520], [0.505, 0.414, 0.167], [0.501, 0.606, 0.856], [0.757, 0.945, 0.057], [0.247, 0.029, 0.919], [0.901, 0.445, 0.806], [0.094, 0.554, 0.224], [0.538, 0.188, 0.596], [0.493, 0.813, 0.397], [0.024, 0.261, 0.094], [0.968, 0.747, 0.918]], "relative_energy_mev_per_atom": 47, "m_tot_mub_per_fu": 18.0}

[4]
{"formula": "Sr3CoRuO6", "functional": "PBE with a Hubbard U", "state": "optimized geometry", "lattice_angstrom": [[-2.469, -4.408, 4.612], [-1.133, -4.316, -5.023], [6.249, -2.181, 0.927]], "species": ["Sr", "Sr", "Sr", "Sr", "Sr", "Sr", "Co", "Co", "Ru", "Ru", "O", "O", "O", "O", "O", "O", "O", "O", "O", "O", "O", "O"], "frac_coords": [[0.611, 0.884, 0.249], [0.890, 0.250, 0.613], [0.248, 0.614, 0.888], [0.109, 0.748, 0.386], [0.752, 0.385, 0.114], [0.390, 0.118, 0.753], [0.741, 0.736, 0.765], [0.261, 0.252, 0.244], [0.500, 0.504, 0.500], [0.000, 0.000, 0.997], [0.543, 0.221, 0.407], [0.214, 0.407, 0.532], [0.409, 0.542, 0.212], [0.059, 0.921, 0.718], [0.905, 0.710, 0.031], [0.714, 0.030, 0.898], [0.451, 0.783, 0.588], [0.786, 0.596, 0.469], [0.591, 0.461, 0.791], [0.944, 0.082, 0.279], [0.096, 0.288, 0.967], [0.285, 0.969, 0.099]], "relative_energy_mev_per_atom": 30, "m_tot_mub_per_fu": 0.2}

[5]
{"formula": "V3Pb2O9", "functional": "PBE with a Hubbard U", "state": "optimized geometry", "lattice_angstrom": [[8.319, 3.848, 0.000], [-8.319, 3.848, 0.000], [0.000, 3.551, 6.203]], "species": ["V", "V", "V", "V", "V", "V", "Pb", "Pb", "Pb", "Pb", "O", "O", "O", "O", "O", "O", "O", "O", "O", "O", "O", "O", "O", "O", "O", "O", "O", "O"], "frac_coords": [[0.538, 0.026, 0.221], [0.026, 0.538, 0.721], [0.583, 0.423, 0.004], [0.423, 0.583, 0.504], [0.842, 0.162, 0.503], [0.162, 0.842, 0.003], [0.952, 0.045, 0.000], [0.045, 0.952, 0.500], [0.381, 0.622, 0.004], [0.622, 0.381, 0.504], [0.388, 0.934, 0.038], [0.934, 0.388, 0.538], [0.614, 0.052, 0.466], [0.052, 0.614, 0.966], [0.789, 0.217, 0.002], [0.217, 0.789, 0.502], [0.642, 0.675, 0.540], [0.675, 0.642, 0.040], [0.025, 0.222, 0.278], [0.222, 0.025, 0.778], [0.791, 0.984, 0.725], [0.984, 0.791, 0.225], [0.511, 0.785, 0.261], [0.785, 0.511, 0.761], [0.313, 0.356, 0.478], [0.356, 0.313, 0.978], [0.511, 0.225, 0.235], [0.225, 0.511, 0.735]], "relative_energy_mev_per_atom": 4, "m_tot_mub_per_fu": 1.0}

[6]
{"formula": "SrMg6CrO8", "functional": "PBE with a Hubbard U", "state": "optimized geometry", "lattice_angstrom": [[-8.296, 2.615, 0.631], [-0.290, -1.907, 4.098], [1.367, 3.877, 1.901]], "species": ["Sr", "Mg", "Mg", "Mg", "Mg", "Mg", "Mg", "Cr", "O", "O", "O", "O", "O", "O", "O", "O"], "frac_coords": [[0.000, 0.000, 0.000], [0.000, 0.500, 0.500], [0.500, 0.500, 0.500], [0.260, 0.000, 0.500], [0.740, 0.000, 0.500], [0.260, 0.500, 0.000], [0.740, 0.500, 0.000], [0.500, 0.000, 0.000], [0.271, 0.000, 0.000], [0.729, 0.000, 0.000], [0.252, 0.500, 0.500], [0.748, 0.500, 0.500], [0.000, 0.000, 0.500], [0.500, 0.000, 0.500], [0.000, 0.500, 0.000], [0.500, 0.500, 0.000]], "relative_energy_mev_per_atom": 4, "m_tot_mub_per_fu": 3.9}

[7]
{"formula": "U2NiO6", "functional": "PBE with a Hubbard U", "state": "optimized geometry", "lattice_angstrom": [[4.575, -7.925, 0.000], [4.575, 7.925, 0.000], [0.000, 0.000, 5.029]], "species": ["U", "U", "U", "U", "U", "U", "Ni", "Ni", "Ni", "O", "O", "O", "O", "O", "O", "O", "O", "O", "O", "O", "O", "O", "O", "O", "O", "O", "O"], "frac_coords": [[0.647, 0.000, 0.000], [0.000, 0.647, 0.000], [0.353, 0.353, 0.000], [0.313, 0.000, 0.500], [0.000, 0.313, 0.500], [0.687, 0.687, 0.500], [0.000, 0.000, 0.000], [0.333, 0.667, 0.505], [0.667, 0.333, 0.495], [0.100, 0.878, 0.777], [0.122, 0.223, 0.777], [0.777, 0.900, 0.777], [0.223, 0.122, 0.223], [0.900, 0.777, 0.223], [0.878, 0.100, 0.223], [0.455, 0.567, 0.735], [0.433, 0.888, 0.735], [0.112, 0.545, 0.735], [0.888, 0.433, 0.265], [0.545, 0.112, 0.265], [0.567, 0.455, 0.265], [0.220, 0.775, 0.274], [0.225, 0.445, 0.274], [0.555, 0.780, 0.274], [0.445, 0.225, 0.726], [0.780, 0.555, 0.726], [0.775, 0.220, 0.726]], "m_tot_mub_per_fu": 4.0, "final_energy_ev_per_atom": -8.884}

[8]
{"formula": "BaSc6Ni4O15", "functional": "PBE with a Hubbard U", "state": "optimized geometry", "lattice_angstrom": [[5.330, -5.939, 0.000], [5.330, 5.939, 0.000], [0.000, 0.000, 9.756]], "species": ["Ba", "Ba", "Sc", "Sc", "Sc", "Sc", "Sc", "Sc", "Sc", "Sc", "Sc", "Sc", "Sc", "Sc", "Ni", "Ni", "Ni", "Ni", "Ni", "Ni", "Ni", "Ni", "O", "O", "O", "O", "O", "O", "O", "O", "O", "O", "O", "O", "O", "O", "O", "O", "O", "O", "O", "O", "O", "O", "O", "O", "O", "O", "O", "O", "O", "O"], "frac_coords": [[0.500, 0.500, 0.000], [0.000, 0.000, 0.500], [0.187, 0.187, 0.139], [0.813, 0.813, 0.861], [0.313, 0.313, 0.639], [0.687, 0.687, 0.361], [0.281, 0.548, 0.355], [0.719, 0.452, 0.645], [0.219, 0.952, 0.855], [0.048, 0.781, 0.145], [0.781, 0.048, 0.145], [0.952, 0.219, 0.855], [0.452, 0.719, 0.645], [0.548, 0.281, 0.355], [0.905, 0.421, 0.117], [0.095, 0.579, 0.883], [0.595, 0.079, 0.617], [0.921, 0.405, 0.383], [0.405, 0.921, 0.383], [0.079, 0.595, 0.617], [0.579, 0.095, 0.883], [0.421, 0.905, 0.117], [0.060, 0.560, 0.250], [0.940, 0.440, 0.750], [0.440, 0.940, 0.750], [0.560, 0.060, 0.250], [0.959, 0.218, 0.245], [0.041, 0.782, 0.755], [0.541, 0.282, 0.745], [0.718, 0.459, 0.255], [0.459, 0.718, 0.255], [0.282, 0.541, 0.745], [0.782, 0.041, 0.755], [0.218, 0.959, 0.245], [0.353, 0.353, 0.238], [0.647, 0.647, 0.762], [0.147, 0.147, 0.738], [0.853, 0.853, 0.262], [0.103, 0.363, 0.998], [0.897, 0.637, 0.002], [0.397, 0.137, 0.498], [0.863, 0.603, 0.502], [0.603, 0.863, 0.502], [0.137, 0.397, 0.498], [0.637, 0.897, 0.002], [0.363, 0.103, 0.998], [0.749, 0.251, 0.000], [0.251, 0.749, 0.000], [0.751, 0.249, 0.500], [0.249, 0.751, 0.500], [0.000, 0.000, 0.000], [0.500, 0.500, 0.500]], "m_tot_mub_per_fu": 6.0, "final_energy_ev_per_atom": -7.361}

[9]
{"formula": "VPb2Se3O10", "functional": "PBE with a Hubbard U", "state": "optimized geometry", "lattice_angstrom": [[-13.806, -4.758, 7.322], [2.796, -3.082, 3.271], [3.676, 5.689, 10.629]], "species": ["V", "V", "V", "V", "Pb", "Pb", "Pb", "Pb", "Pb", "Pb", "Pb", "Pb", "Se", "Se", "Se", "Se", "Se", "Se", "Se", "Se", "Se", "Se", "Se", "Se", "O", "O", "O", "O", "O", "O", "O", "O", "O", "O", "O", "O", "O", "O", "O", "O", "O", "O", "O", "O", "O", "O", "O", "O", "O", "O", "O", "O", "O", "O", "O", "O", "O", "O", "O", "O", "O", "O", "O", "O"], "frac_coords": [[0.807, 0.182, 0.060], [0.693, 0.182, 0.560], [0.193, 0.818, 0.940], [0.307, 0.818, 0.440], [0.586, 0.203, 0.066], [0.914, 0.203, 0.566], [0.414, 0.797, 0.934], [0.086, 0.797, 0.434], [0.510, 0.564, 0.683], [0.990, 0.564, 0.183], [0.490, 0.436, 0.317], [0.010, 0.436, 0.817], [0.374, 0.099, 0.157], [0.126, 0.099, 0.657], [0.626, 0.901, 0.843], [0.874, 0.901, 0.343], [0.646, 0.816, 0.413], [0.854, 0.816, 0.913], [0.354, 0.184, 0.587], [0.146, 0.184, 0.087], [0.791, 0.537, 0.705], [0.709, 0.537, 0.205], [0.209, 0.463, 0.295], [0.291, 0.463, 0.795], [0.571, 0.859, 0.313], [0.929, 0.859, 0.813], [0.429, 0.141, 0.687], [0.071, 0.141, 0.187], [0.448, 0.358, 0.097], [0.052, 0.358, 0.597], [0.552, 0.642, 0.903], [0.948, 0.642, 0.403], [0.752, 0.248, 0.194], [0.748, 0.248, 0.694], [0.248, 0.752, 0.806], [0.252, 0.752, 0.306], [0.614, 0.066, 0.463], [0.886, 0.066, 0.963], [0.386, 0.934, 0.537], [0.114, 0.934, 0.037], [0.382, 0.068, 0.300], [0.118, 0.068, 0.800], [0.618, 0.932, 0.700], [0.882, 0.932, 0.200], [0.571, 0.177, 0.844], [0.929, 0.177, 0.344], [0.429, 0.823, 0.156], [0.071, 0.823, 0.656], [0.736, 0.367, 0.962], [0.764, 0.367, 0.462], [0.264, 0.633, 0.038], [0.236, 0.633, 0.538], [0.613, 0.505, 0.529], [0.887, 0.505, 0.029], [0.387, 0.495, 0.471], [0.113, 0.495, 0.971], [0.609, 0.516, 0.161], [0.891, 0.516, 0.661], [0.391, 0.484, 0.839], [0.109, 0.484, 0.339], [0.759, 0.823, 0.585], [0.741, 0.823, 0.085], [0.241, 0.177, 0.415], [0.259, 0.177, 0.915]], "m_tot_mub_per_fu": 1.0, "final_energy_ev_per_atom": -5.862}